[1]
Density functional theory data (r²SCAN) for an optimized crystal structure of FeCuPt2.

abc: 3.944 3.944 3.540
angles: 90.00 90.00 90.00
Space group P4/mmm (No. 123)
Inequivalent atoms, fractional coordinates:
Fe1 0.000 0.000 0.000 (multiplicity 1)
Cu1 0.500 0.500 0.000 (multiplicity 1)
Pt1 0.000 0.500 0.500 (multiplicity 2)

Results
- formation enthalpy at 0 K (eV/atom) = -0.27
- mass density (g/cm3) = 15.36



[2]
Density functional theory data (r²SCAN) for an optimized crystal structure of NdGePd2.

abc: 7.618 7.037 5.738
angles: 90.00 90.00 90.00
Space group Pnma (No. 62)
Inequivalent atoms, fractional coordinates:
Nd1 0.032 0.250 0.150 (multiplicity 4)
Ge1 0.123 0.750 0.350 (multiplicity 4)
Pd1 0.178 0.052 0.588 (multiplicity 8)

Results
- formation enthalpy at 0 K (eV/atom) = -0.91
- mass density (g/cm3) = 9.28



[3]
Density functional theory data (r²SCAN) for an optimized crystal structure of ErIn.

abc: 3.712 3.712 3.712
angles: 90.00 90.00 90.00
Space group Pm-3m (No. 221)
Inequivalent atoms, fractional coordinates:
Er1 0.000 0.000 0.000 (multiplicity 1)
In1 0.500 0.500 0.500 (multiplicity 1)

Results
- formation enthalpy at 0 K (eV/atom) = -0.55
- mass density (g/cm3) = 9.16



[4]
Density functional theory data (r²SCAN) for an optimized crystal structure of PmZnAu2.

abc: 6.904 6.904 6.904
angles: 90.00 90.00 90.00
Space group Fm-3m (No. 225)
Inequivalent atoms, fractional coordinates:
Pm1 0.000 0.000 0.000 (multiplicity 4)
Zn1 0.000 0.000 0.500 (multiplicity 4)
Au1 0.250 0.250 0.250 (multiplicity 8)

Results
- formation enthalpy at 0 K (eV/atom) = -0.63
- mass density (g/cm3) = 12.20



[5]
Density functional theory data (r²SCAN) for an optimized crystal structure of SiC.

abc: 3.0757 3.0757 10.0706
angles: 90.00 90.00 120.00
Space group P6_3mc (No. 186)
Inequivalent atoms, fractional coordinates:
Si1 0.0000 0.0000 0.0000 (multiplicity 2)
Si2 0.3333 0.6667 0.2499 (multiplicity 2)
C1 0.0000 0.0000 0.3126 (multiplicity 2)
C2 0.3333 0.6667 0.0619 (multiplicity 2)

Results
- formation enthalpy at 0 K (eV/atom) = -0.31
- mass density (g/cm3) = 3.23



[6]
Density functional theory data (r²SCAN) for an optimized crystal structure of K2SiO3.

abc: 6.268 12.754 15.728
angles: 90.00 107.38 90.00
Space group P2_1/c (No. 14)
Inequivalent atoms, fractional coordinates:
K1 0.026 0.115 0.419 (multiplicity 4)
K2 0.111 0.116 0.860 (multiplicity 4)
K3 0.113 0.698 0.301 (multiplicity 4)
K4 0.272 0.585 0.529 (multiplicity 4)
K5 0.342 0.504 0.779 (multiplicity 4)
K6 0.419 0.641 0.998 (multiplicity 4)
Si1 0.175 0.117 0.636 (multiplicity 4)
Si2 0.273 0.152 0.102 (multiplicity 4)
Si3 0.471 0.246 0.286 (multiplicity 4)
O1 0.060 0.583 0.851 (multiplicity 4)
O2 0.101 0.064 0.113 (multiplicity 4)
O3 0.133 0.234 0.584 (multiplicity 4)
O4 0.274 0.731 0.657 (multiplicity 4)
O5 0.287 0.038 0.582 (multiplicity 4)
O6 0.309 0.196 0.337 (multiplicity 4)
O7 0.353 0.142 0.737 (multiplicity 4)
O8 0.393 0.131 0.027 (multiplicity 4)
O9 0.471 0.170 0.199 (multiplicity 4)

Results
- formation enthalpy at 0 K (eV/atom) = -2.54
- mass density (g/cm3) = 2.56



[7]
Density functional theory data (r²SCAN) for an optimized crystal structure of NdZr2F11.

abc: 7.785 10.069 10.897
angles: 90.00 90.00 90.00
Space group Ibam (No. 72)
Inequivalent atoms, fractional coordinates:
Nd1 0.000 0.000 0.250 (multiplicity 4)
Zr1 0.133 0.319 0.000 (multiplicity 8)
F1 0.000 0.500 0.000 (multiplicity 4)
F2 0.103 0.184 0.137 (multiplicity 16)
F3 0.130 0.281 0.500 (multiplicity 8)
F4 0.234 0.076 0.370 (multiplicity 16)

Results
- formation enthalpy at 0 K (eV/atom) = -4.14
- mass density (g/cm3) = 4.17



[8]
Density functional theory data (r²SCAN) for an optimized crystal structure of CeTl.

abc: 3.547 3.547 4.689
angles: 90.00 90.00 90.00
Space group P4/mmm (No. 123)
Inequivalent atoms, fractional coordinates:
Ce1 0.000 0.000 0.000 (multiplicity 1)
Tl1 0.500 0.500 0.500 (multiplicity 1)

Results
- formation enthalpy at 0 K (eV/atom) = -0.43
- mass density (g/cm3) = 9.69



[9]
Density functional theory data (r²SCAN) for an optimized crystal structure of MgCd3.

abc: 3.1346 3.1346 10.0384
angles: 90.00 90.00 120.00
Space group P-6m2 (No. 187)
Inequivalent atoms, fractional coordinates:
Mg1 0.0000 0.0000 0.0000 (multiplicity 1)
Cd1 0.0000 0.0000 0.5000 (multiplicity 1)
Cd2 0.6667 0.3333 0.2478 (multiplicity 2)

Results
- formation enthalpy at 0 K (eV/atom) = -0.02
- mass density (g/cm3) = 7.03



[10]
Density functional theory data (r²SCAN) for an optimized crystal structure of Ba11In6O3.

abc: 15.577 15.577 11.245
angles: 90.00 90.00 90.00
Space group I4/mcm (No. 140)
Inequivalent atoms, fractional coordinates:
Ba1 0.000 0.000 0.000 (multiplicity 4)
Ba2 0.125 0.375 0.202 (multiplicity 16)
Ba3 0.126 0.126 0.250 (multiplicity 16)
Ba4 0.230 0.270 0.500 (multiplicity 8)
In1 0.001 0.243 0.500 (multiplicity 16)
In2 0.066 0.434 0.500 (multiplicity 8)
O1 0.000 0.000 0.250 (multiplicity 4)
O2 0.250 0.250 0.250 (multiplicity 8)

Results
- formation enthalpy at 0 K (eV/atom) = -1.15
- mass density (g/cm3) = 5.47



[11]
Density functional theory data (r²SCAN) for an optimized crystal structure of BaAl2Si2.

abc: 10.150 4.243 10.912
angles: 90.00 90.00 90.00
Space group Pnma (No. 62)
Inequivalent atoms, fractional coordinates:
Ba1 0.247 0.250 0.175 (multiplicity 4)
Al1 0.041 0.250 0.882 (multiplicity 4)
Al2 0.100 0.250 0.453 (multiplicity 4)
Si1 0.024 0.750 0.344 (multiplicity 4)
Si2 0.146 0.750 0.959 (multiplicity 4)

Results
- formation enthalpy at 0 K (eV/atom) = -0.34
- mass density (g/cm3) = 3.50



[12]
Density functional theory data (r²SCAN) for an optimized crystal structure of PaTc2Sn.

abc: 6.677 6.677 6.677
angles: 90.00 90.00 90.00
Space group Fm-3m (No. 225)
Inequivalent atoms, fractional coordinates:
Pa1 0.000 0.000 0.000 (multiplicity 4)
Tc1 0.250 0.250 0.250 (multiplicity 8)
Sn1 0.000 0.000 0.500 (multiplicity 4)

Results
- formation enthalpy at 0 K (eV/atom) = -0.24
- mass density (g/cm3) = 12.18